# EuIr2

A relaxed structure of EuIr2 (PBE-GGA, the Materials Project database).

The structure in POSCAR format:
```
EuIr2
1.0
0.000 3.836 3.836
3.836 0.000 3.836
3.836 3.836 0.000
Eu Ir
2 4
Cartesian
0.959 0.959 0.959
6.713 6.713 6.713
3.836 1.918 1.918
1.918 3.836 1.918
1.918 1.918 3.836
3.836 3.836 3.836
```

***

# Ag3As

A relaxed structure of Ag3As (PBE-GGA, the Materials Project database).

The structure in POSCAR format:
```
Ag3As
1.0
-2.102 2.102 4.175
2.102 -2.102 4.175
2.102 2.102 -4.175
Ag As
3 1
Cartesian
0.000 0.000 0.000
2.102 0.000 2.088
0.000 2.102 2.088
0.000 0.000 4.175
```

***

| no. | energy (Ry per atom) | ρ (g cm⁻³) | formation enthalpy at 0 K (meV per atom) |
| --- | --- | --- | --- |
| 1 | -0.7222 | 15.783 | -515.1 |
| 2 | -0.2348 | 8.970 | 94.4 |